Record 1
First-principles (PBE) data for an optimized crystal structure of U2Mo, as listed in Materials Project.

```
data_U2Mo
_chemical_formula_sum 'U4 Mo2'
_cell_length_a 3.430
_cell_length_b 3.430
_cell_length_c 9.709
_cell_angle_alpha 90.00
_cell_angle_beta 90.00
_cell_angle_gamma 90.00
_symmetry_space_group_name_H-M 'I 4/m m m'
_symmetry_Int_Tables_number 139
_symmetry_space_group_name_Hall '-I 4 2'
loop_
_atom_site_label
_atom_site_type_symbol
_atom_site_fract_x
_atom_site_fract_y
_atom_site_fract_z
_atom_site_occupancy
U1 U 0.000 0.000 0.179 1
Mo1 Mo 0.000 0.000 0.500 1
```

Properties
- VASP energy: -66.4 eV per cell
- Total moment: 0.042 μB/f.u.
- Formation enthalpy at 0 K: 20 kJ/mol of formula units
- Mass density: 16.6 g cm⁻³

---

Record 2
First-principles (PBE) data for an optimized crystal structure of Cs2NaSbI6, as listed in Materials Project.

```
data_Cs2NaSbI6
_chemical_formula_sum 'Cs8 Na4 Sb4 I24'
_cell_length_a 12.404
_cell_length_b 12.404
_cell_length_c 12.404
_cell_angle_alpha 90.00
_cell_angle_beta 90.00
_cell_angle_gamma 90.00
_symmetry_space_group_name_H-M 'F m -3 m'
_symmetry_Int_Tables_number 225
_symmetry_space_group_name_Hall '-F 4 2 3'
loop_
_atom_site_label
_atom_site_type_symbol
_atom_site_fract_x
_atom_site_fract_y
_atom_site_fract_z
_atom_site_occupancy
Cs1 Cs 0.250 0.250 0.250 1
Na1 Na 0.000 0.000 0.000 1
Sb1 Sb 0.000 0.000 0.500 1
I1 I 0.000 0.000 0.256 1
```

Properties
- VASP energy: -106.1 eV per cell
- Total moment: 0.001 μB/f.u.
- Formation enthalpy at 0 K: -1198 kJ/mol of formula units
- Mass density: 4.1 g cm⁻³

---

Record 3
First-principles (PBE) data for an optimized crystal structure of LiTi2O4, as listed in Materials Project.

```
data_LiTi2O4
_chemical_formula_sum 'Li4 Ti8 O16'
_cell_length_a 5.942
_cell_length_b 5.998
_cell_length_c 8.415
_cell_angle_alpha 90.00
_cell_angle_beta 90.00
_cell_angle_gamma 90.00
_symmetry_space_group_name_H-M 'I m m a'
_symmetry_Int_Tables_number 74
_symmetry_space_group_name_Hall '-I 2b 2'
loop_
_atom_site_label
_atom_site_type_symbol
_atom_site_fract_x
_atom_site_fract_y
_atom_site_fract_z
_atom_site_occupancy
Li1 Li 0.250 0.250 0.250 1
Ti1 Ti 0.000 0.000 0.000 1
Ti2 Ti 0.250 0.250 0.750 1
O1 O 0.000 0.017 0.763 1
O2 O 0.222 0.250 0.990 1
```

Properties
- VASP energy: -227.7 eV per cell
- Total moment: 0.071 μB/f.u.
- Excess energy over the best structure of this formula in the dataset: 77 meV/atom
- Formation enthalpy at 0 K: -2140 kJ/mol of formula units
- Mass density: 3.7 g cm⁻³

---

Record 4
First-principles (PBE) data for an optimized crystal structure of TlInSiS4, as listed in Materials Project.

```
data_TlInSiS4
_chemical_formula_sum 'Tl8 In8 Si8 S32'
_cell_length_a 16.853
_cell_length_b 7.723
_cell_length_c 12.687
_cell_angle_alpha 90.00
_cell_angle_beta 90.00
_cell_angle_gamma 90.00
_symmetry_space_group_name_H-M 'P n m a'
_symmetry_Int_Tables_number 62
_symmetry_space_group_name_Hall '-P 2ac 2n'
loop_
_atom_site_label
_atom_site_type_symbol
_atom_site_fract_x
_atom_site_fract_y
_atom_site_fract_z
_atom_site_occupancy
Tl1 Tl 0.071 0.250 0.115 1
Tl2 Tl 0.168 0.250 0.480 1
In1 In 0.153 0.008 0.774 1
Si1 Si 0.018 0.750 0.303 1
Si2 Si 0.169 0.750 0.201 1
S1 S 0.038 0.018 0.649 1
S2 S 0.051 0.750 0.136 1
S3 S 0.138 0.750 0.366 1
S4 S 0.152 0.750 0.887 1
S5 S 0.159 0.250 0.899 1
S6 S 0.229 0.521 0.149 1
```

Properties
- VASP energy: -250.8 eV per cell
- Total moment: 0.001 μB/f.u.
- Formation enthalpy at 0 K: -605 kJ/mol of formula units
- Mass density: 3.8 g cm⁻³